A relaxed structure of SmSnRh2, computed with r²SCAN.

abc: 6.688 6.688 6.688
angles: 90.00 90.00 90.00
Space group Fm-3m (No. 225)
Unique sites:
Sm 0.000 0.000 0.000 (multiplicity 4)
Sn 0.000 0.000 0.500 (multiplicity 4)
Rh 0.250 0.250 0.250 (multiplicity 8)


A relaxed structure of Tb3AlC, computed with r²SCAN.

abc: 4.903 4.903 4.903
angles: 90.00 90.00 90.00
Space group Pm-3m (No. 221)
Unique sites:
Tb 0.000 0.000 0.500 (multiplicity 3)
Al 0.500 0.500 0.500 (multiplicity 1)
C 0.000 0.000 0.000 (multiplicity 1)


A relaxed structure of YbS2, computed with r²SCAN.

abc: 3.796 3.796 7.804
angles: 90.00 90.00 90.00
Space group P4/nmm (No. 129, origin choice 2)
Unique sites:
Yb 0.250 0.250 0.227 (multiplicity 2)
S 0.250 0.250 0.869 (multiplicity 2)
S 0.250 0.750 0.500 (multiplicity 2)


A relaxed structure of GdF3, computed with r²SCAN.

abc: 5.598 5.598 5.598
angles: 90.00 90.00 90.00
Space group Fm-3m (No. 225)
Unique sites:
Gd 0.000 0.000 0.000 (multiplicity 4)
F 0.000 0.000 0.500 (multiplicity 4)
F 0.250 0.250 0.250 (multiplicity 8)


Table of density (kg/m3), in record order: 10542, 7267, 7006, 8111
Table of ΔH_f (0 K) (eV/f.u.), in record order: -2.9, -2.5, -5.6, -16.6
Table of size of the total moment (μB/cell), in record order: 0.08, 0.00, 0.00, 27.87